1.
Here is a relaxed Hf5Te4 crystal from the Materials Project. Energies are from meta-GGA r2SCAN.

The calculated volume comes out at 24.12 Å³ per atom. For the formation energy, the calculation gives -0.7178 eV per atom. The calculation puts the size of the total moment at 0.00 Bohr magnetons per cell.

Cell: 10.7042 10.7042 3.7885 Å, 90.00 90.00 90.00°
Closest atoms and distances in Å follow each position.
Space group I4/m (No. 87)
Unique sites:
Hf 0.0000 0.0000 0.0000  4 Te 3.09, 8 Hf 3.12
Hf 0.1319 0.1898 0.5000  5 Te 2.90-2.91, 2 Hf 3.12
Te 0.0516 0.7160 0.0000  6 Hf 2.90-3.09

2.
Here is a relaxed Hf3TiTe20 crystal from the Materials Project. Energies are from meta-GGA r2SCAN.

The calculated volume comes out at 34.90 Å³ per atom. For the formation energy, the calculation gives -0.4899 eV per atom. The calculation puts the size of the total moment at 0.00 Bohr magnetons per cell.

Cell: 27.6366 3.9916 15.1837 Å, 90.00 90.00 90.00°
Closest atoms and distances in Å follow each position.
Space group Amm2 (No. 38)
Unique sites:
Hf 0.0000 0.0000 0.0000  8 Te 2.95-2.98
Hf 0.2510 0.0000 0.3738  8 Te 2.95-2.98
Ti 0.5000 0.0000 0.0011  8 Te 2.89-2.92
Te 0.0000 0.0000 0.3551  2 Hf 2.97, 4 Te 3.31
Te 0.0498 0.0000 0.6107  1 Te 2.75, 2 Hf 2.95
Te 0.0925 0.0000 0.8989  2 Te 2.94, 1 Hf 2.98
Te 0.1584 0.0000 0.4745  2 Te 2.94, 1 Hf 2.98
Te 0.2014 0.0000 0.7629  1 Te 2.75, 2 Hf 2.95
Te 0.2507 0.0000 0.0187  2 Hf 2.97, 4 Te 3.31
Te 0.3010 0.0000 0.7634  1 Te 2.75, 2 Hf 2.95
Te 0.3433 0.0000 0.4754  2 Te 2.94, 1 Hf 2.98
Te 0.4103 0.0000 0.9018  1 Ti 2.90, 4 Te 2.94-3.24
Te 0.4510 0.0000 0.6063  1 Te 2.71, 2 Ti 2.89
Te 0.5000 0.0000 0.3611  2 Ti 2.92, 4 Te 3.24

3.
Here is a relaxed HfTi crystal from the Materials Project. Energies are from meta-GGA r2SCAN.

The calculated volume comes out at 19.92 Å³ per atom. For the formation energy, the calculation gives 0.0605 eV per atom. The calculation puts the size of the total moment at 0.00 Bohr magnetons per cell.

Cell: 3.0861 3.0861 4.8293 Å, 90.00 90.00 120.00°
Closest atoms and distances in Å follow each position.
Space group P-6m2 (No. 187)
Unique sites:
Hf 0.0000 0.0000 0.0000  6 Ti 3.00, 6 Hf 3.09
Ti 0.6667 0.3333 0.5000  6 Hf 3.00, 6 Ti 3.09

4.
Here is a relaxed Hf2Tl crystal from the Materials Project. Energies are from meta-GGA r2SCAN.

The calculated volume comes out at 22.06 Å³ per atom. For the formation energy, the calculation gives -0.0308 eV per atom. The calculation puts the size of the total moment at 0.00 Bohr magnetons per cell.

Cell: 3.5211 3.5211 10.6754 Å, 90.00 90.00 90.00°
Closest atoms and distances in Å follow each position.
Space group I4/mmm (No. 139)
Unique sites:
Hf 0.0000 0.0000 0.1672  4 Hf 3.05, 4 Tl 3.06
Tl 0.0000 0.0000 0.5000  8 Hf 3.06

5.
Here is a relaxed HfV2 crystal from the Materials Project. Energies are from meta-GGA r2SCAN.

The calculated volume comes out at 16.68 Å³ per atom. For the formation energy, the calculation gives 0.0384 eV per atom. The calculation puts the size of the total moment at 2.89 Bohr magnetons per cell.

Cell: 8.8710 5.2929 5.3023 Å, 90.00 126.50 90.00°
Closest atoms and distances in Å follow each position.
Space group C2/m (No. 12)
Unique sites:
Hf 0.1240 0.0000 0.3705  12 V 2.98-3.12, 4 Hf 3.16-3.21
V 0.0000 0.5000 0.0000  6 V 2.58-2.65
V 0.0000 0.5000 0.5000  6 V 2.59-2.65
V 0.2500 0.2500 0.0000  6 V 2.58-2.65

6.
Here is a relaxed HfV2 crystal from the Materials Project. Energies are from meta-GGA r2SCAN.

The calculated volume comes out at 16.14 Å³ per atom. For the formation energy, the calculation gives 0.0638 eV per atom. The calculation puts the size of the total moment at 0.00 Bohr magnetons per cell.

Cell: 7.2893 7.2893 7.2893 Å, 90.00 90.00 90.00°
Closest atoms and distances in Å follow each position.
Space group Fd-3m (No. 227, origin choice 2)
Unique sites:
Hf 0.1250 0.1250 0.1250  12 V 3.02, 4 Hf 3.16
V 0.0000 0.0000 0.5000  6 V 2.58

7.
Here is a relaxed HfZn3 crystal from the Materials Project. Energies are from meta-GGA r2SCAN.

The calculated volume comes out at 15.61 Å³ per atom. For the formation energy, the calculation gives -0.2289 eV per atom. The calculation puts the size of the total moment at 0.00 Bohr magnetons per cell.

Cell: 5.7652 5.7652 4.3389 Å, 90.00 90.00 120.00°
Closest atoms and distances in Å follow each position.
Space group P6_3/mmc (No. 194)
Unique sites:
Hf 0.3333 0.6667 0.2500  12 Zn 2.78-2.88
Zn 0.1589 0.3178 0.7500  6 Zn 2.69-2.75, 4 Hf 2.78-2.88

8.
Here is a relaxed HfZn16 crystal from the Materials Project. Energies are from meta-GGA r2SCAN.

The calculated volume comes out at 14.85 Å³ per atom. For the formation energy, the calculation gives -0.0678 eV per atom. The calculation puts the size of the total moment at 0.00 Bohr magnetons per cell.

Cell: 7.6388 11.4088 11.5867 Å, 90.00 90.00 90.00°
Closest atoms and distances in Å follow each position.
Space group Cmcm (No. 63)
Unique sites:
Hf 0.0000 0.0471 0.2500  15 Zn 2.81-2.95
Zn 0.0000 0.0000 0.0000  10 Zn 2.58-2.83
Zn 0.0000 0.1765 0.6393  9 Zn 2.56-2.73, 1 Hf 2.85
Zn 0.0000 0.2931 0.2500  8 Zn 2.70-2.76, 1 Hf 2.81
Zn 0.0000 0.3776 0.5306  12 Zn 2.58-2.88
Zn 0.1634 0.3535 0.7500  7 Zn 2.50-2.70
Zn 0.1690 0.1856 0.0681  7 Zn 2.49-2.76
Zn 0.2001 0.4488 0.1339  7 Zn 2.58-2.83, 1 Hf 2.88

9.
Here is a relaxed HfZn22 crystal from the Materials Project. Energies are from meta-GGA r2SCAN.

The calculated volume comes out at 14.63 Å³ per atom. For the formation energy, the calculation gives -0.0418 eV per atom. The calculation puts the size of the total moment at 0.00 Bohr magnetons per cell.

Cell: 13.9103 13.9103 13.9103 Å, 90.00 90.00 90.00°
Closest atoms and distances in Å follow each position.
Space group Fd-3m (No. 227, origin choice 2)
Unique sites:
Hf 0.1250 0.1250 0.1250  16 Zn 2.97-3.01
Zn 0.0000 0.0000 0.0000  12 Zn 2.92, 2 Hf 3.01
Zn 0.0000 0.0000 0.5000  6 Zn 2.47
Zn 0.0148 0.3750 0.8750  8 Zn 2.47-2.75
Zn 0.0618 0.0618 0.3187  4 Zn 2.48-2.63

10.
Here is a relaxed HoHg crystal from the Materials Project. Energies are from meta-GGA r2SCAN.

The calculated volume comes out at 24.84 Å³ per atom. For the formation energy, the calculation gives -0.5731 eV per atom. The calculation puts the size of the total moment at 0.00 Bohr magnetons per cell.

Cell: 3.6762 3.6762 3.6762 Å, 90.00 90.00 90.00°
Closest atoms and distances in Å follow each position.
Space group Pm-3m (No. 221)
Unique sites:
Ho 0.0000 0.0000 0.0000  8 Hg 3.18
Hg 0.5000 0.5000 0.5000  8 Ho 3.18

11.
Here is a relaxed HoLuHg2 crystal from the Materials Project. Energies are from meta-GGA r2SCAN.

The calculated volume comes out at 24.19 Å³ per atom. For the formation energy, the calculation gives -0.5637 eV per atom. The calculation puts the size of the total moment at 0.00 Bohr magnetons per cell.

Cell: 7.2879 7.2879 7.2879 Å, 90.00 90.00 90.00°
Closest atoms and distances in Å follow each position.
Space group Fm-3m (No. 225)
Unique sites:
Ho 0.0000 0.0000 0.0000  8 Hg 3.16
Lu 0.0000 0.0000 0.5000  8 Hg 3.16
Hg 0.2500 0.2500 0.2500  4 Ho 3.16, 4 Lu 3.16

12.
Here is a relaxed SmHoHg2 crystal from the Materials Project. Energies are from meta-GGA r2SCAN.

The calculated volume comes out at 25.90 Å³ per atom. For the formation energy, the calculation gives -0.5693 eV per atom. The calculation puts the size of the total moment at 0.00 Bohr magnetons per cell.

Cell: 7.4553 7.4553 7.4553 Å, 90.00 90.00 90.00°
Closest atoms and distances in Å follow each position.
Space group Fm-3m (No. 225)
Unique sites:
Sm 0.0000 0.0000 0.0000  8 Hg 3.23
Ho 0.0000 0.0000 0.5000  8 Hg 3.23
Hg 0.2500 0.2500 0.2500  4 Ho 3.23, 4 Sm 3.23